No. 1
Mn6OF11 (PBE with a Hubbard U, optimized geometry); size of the total moment = 58.00 μB per cell; energy with MP2020 corrections = -7.33 eV per atom; calculated formation energy = -2.8297 eV/atom; theoretical density = 3.9 g cm⁻³; ΔE to the lowest computed polymorph = 0.020 eV/atom
1.0
5.902 0.000 0.000
0.000 4.949 0.000
0.000 0.166 16.236
F Mn O
22 12 2
Direct
0.106 0.221 0.056 F
0.890 0.774 0.444 F
0.391 0.741 0.107 F
0.105 0.233 0.390 F
0.391 0.259 0.893 F
0.614 0.280 0.058 F
0.890 0.226 0.556 F
0.105 0.767 0.610 F
0.621 0.728 0.273 F
0.873 0.244 0.885 F
0.873 0.756 0.115 F
0.117 0.211 0.723 F
0.614 0.720 0.942 F
0.604 0.737 0.608 F
0.106 0.779 0.944 F
0.893 0.757 0.779 F
0.621 0.272 0.727 F
0.604 0.263 0.392 F
0.385 0.722 0.438 F
0.893 0.243 0.221 F
0.385 0.278 0.562 F
0.117 0.789 0.277 F
0.171 0.000 0.500 Mn
0.185 0.974 0.829 Mn
0.333 0.484 0.327 Mn
0.333 0.516 0.673 Mn
0.185 0.026 0.171 Mn
0.645 0.505 0.832 Mn
0.328 0.500 0.000 Mn
0.833 0.000 0.000 Mn
0.660 0.500 0.500 Mn
0.645 0.495 0.168 Mn
0.832 0.996 0.667 Mn
0.832 0.004 0.333 Mn
0.410 0.296 0.217 O
0.410 0.704 0.783 O


No. 2
Mn6OF11 (PBE with a Hubbard U, optimized geometry); size of the total moment = 58.00 μB per cell; energy with MP2020 corrections = -7.33 eV per atom; calculated formation energy = -2.8311 eV/atom; theoretical density = 3.9 g cm⁻³; ΔE to the lowest computed polymorph = 0.019 eV/atom
1.0
-0.076 -0.975 -5.816
-1.024 -4.787 0.816
-15.920 3.126 -0.316
F Mn O
22 12 2
Direct
0.886 0.776 0.976 F
0.891 0.764 0.309 F
0.879 0.230 0.190 F
0.889 0.221 0.856 F
0.894 0.237 0.524 F
0.394 0.742 0.638 F
0.606 0.742 0.138 F
0.114 0.776 0.476 F
0.608 0.715 0.473 F
0.111 0.221 0.356 F
0.106 0.237 0.024 F
0.394 0.269 0.861 F
0.616 0.288 0.694 F
0.384 0.288 0.194 F
0.109 0.764 0.809 F
0.628 0.248 0.033 F
0.121 0.230 0.690 F
0.608 0.726 0.808 F
0.392 0.726 0.308 F
0.392 0.715 0.973 F
0.372 0.248 0.533 F
0.606 0.269 0.361 F
0.855 0.993 0.086 Mn
0.167 0.985 0.245 Mn
0.689 0.525 0.588 Mn
0.670 0.485 0.919 Mn
0.334 0.504 0.749 Mn
0.666 0.504 0.249 Mn
0.167 0.997 0.916 Mn
0.833 0.985 0.745 Mn
0.311 0.525 0.088 Mn
0.145 0.993 0.586 Mn
0.330 0.485 0.419 Mn
0.833 0.997 0.416 Mn
0.088 0.795 0.135 O
0.912 0.795 0.635 O


No. 3
Mn12O5F19 (PBE with a Hubbard U, optimized geometry); size of the total moment = 55.00 μB per cell; energy with MP2020 corrections = -7.41 eV per atom; calculated formation energy = -2.6543 eV/atom; theoretical density = 4.0 g cm⁻³; ΔE to the lowest computed polymorph = 0.008 eV/atom
1.0
-4.654 0.135 -1.233
-1.027 -4.320 3.836
-2.641 10.890 11.435
Mn F O
12 19 5
Direct
0.986 0.837 0.253 Mn
0.008 0.865 0.916 Mn
0.501 0.323 0.906 Mn
0.987 0.174 0.756 Mn
0.485 0.346 0.250 Mn
0.998 0.155 0.417 Mn
0.510 0.649 0.413 Mn
0.504 0.646 0.753 Mn
0.030 0.163 0.095 Mn
0.507 0.657 0.079 Mn
0.051 0.815 0.580 Mn
0.504 0.360 0.580 Mn
0.743 0.112 0.308 F
0.774 0.135 0.641 F
0.247 0.602 0.189 F
0.747 0.390 0.472 F
0.260 0.624 0.861 F
0.754 0.886 0.810 F
0.745 0.623 0.641 F
0.737 0.607 0.965 F
0.231 0.889 0.029 F
0.286 0.374 0.019 F
0.223 0.875 0.364 F
0.775 0.883 0.141 F
0.775 0.881 0.473 F
0.245 0.109 0.528 F
0.227 0.898 0.700 F
0.773 0.115 0.984 F
0.264 0.384 0.360 F
0.253 0.402 0.687 F
0.722 0.382 0.140 F
0.224 0.117 0.204 O
0.699 0.612 0.305 O
0.312 0.607 0.518 O
0.707 0.374 0.803 O
0.206 0.129 0.860 O


No. 4
Mn3O4F2 (PBE with a Hubbard U, optimized geometry); size of the total moment = 22.00 μB per cell; energy with MP2020 corrections = -7.80 eV per atom; calculated formation energy = -2.1216 eV/atom; theoretical density = 4.5 g cm⁻³; ΔE to the lowest computed polymorph = 0.026 eV/atom
1.0
-1.593 0.123 -4.321
4.828 -1.967 -1.836
-2.248 -7.330 0.620
Mn F O
6 4 8
Direct
0.470 0.667 0.840 Mn
0.970 0.833 0.160 Mn
0.530 0.333 0.160 Mn
0.500 0.000 0.500 Mn
0.030 0.167 0.840 Mn
0.000 0.500 0.500 Mn
0.793 0.462 0.746 F
0.707 0.962 0.746 F
0.293 0.038 0.254 F
0.207 0.538 0.254 F
0.810 0.129 0.060 O
0.809 0.797 0.392 O
0.310 0.371 0.940 O
0.191 0.203 0.608 O
0.690 0.629 0.060 O
0.691 0.297 0.392 O
0.309 0.703 0.608 O
0.190 0.871 0.940 O


No. 5
Mn3O4F2 (PBE with a Hubbard U, optimized geometry); size of the total moment = 22.00 μB per cell; energy with MP2020 corrections = -7.82 eV per atom; calculated formation energy = -2.1367 eV/atom; theoretical density = 4.6 g cm⁻³; ΔE to the lowest computed polymorph = 0.011 eV/atom
1.0
3.147 3.380 0.000
-3.147 3.380 0.000
0.000 0.081 9.090
O Mn F
8 6 4
Direct
0.692 0.308 0.500 O
0.191 0.191 0.661 O
0.308 0.692 0.500 O
0.682 0.293 0.830 O
0.707 0.318 0.170 O
0.293 0.682 0.830 O
0.809 0.809 0.339 O
0.318 0.707 0.170 O
0.012 0.012 0.825 Mn
0.000 0.000 0.500 Mn
0.479 0.479 0.666 Mn
0.988 0.988 0.175 Mn
0.500 0.500 0.000 Mn
0.521 0.521 0.334 Mn
0.777 0.777 0.666 F
0.188 0.188 0.013 F
0.812 0.812 0.987 F
0.223 0.223 0.334 F


No. 6
Mn6OF11 (PBE with a Hubbard U, optimized geometry); size of the total moment = 58.00 μB per cell; energy with MP2020 corrections = -7.33 eV per atom; calculated formation energy = -2.8302 eV/atom; theoretical density = 3.9 g cm⁻³; ΔE to the lowest computed polymorph = 0.020 eV/atom
1.0
-2.923 -2.751 -2.925
4.573 -3.484 -1.292
-3.576 -9.564 12.569
F Mn O
22 12 2
Direct
0.233 0.147 0.974 F
0.251 0.376 0.800 F
0.221 0.362 0.143 F
0.284 0.858 0.140 F
0.751 0.624 0.200 F
0.261 0.856 0.809 F
0.784 0.142 0.860 F
0.759 0.355 0.694 F
0.721 0.638 0.857 F
0.270 0.633 0.643 F
0.278 0.860 0.478 F
0.717 0.865 0.360 F
0.731 0.640 0.525 F
0.274 0.643 0.975 F
0.770 0.367 0.357 F
0.733 0.853 0.026 F
0.231 0.360 0.475 F
0.778 0.140 0.522 F
0.774 0.357 0.025 F
0.217 0.135 0.640 F
0.761 0.144 0.191 F
0.259 0.645 0.306 F
0.520 0.920 0.587 Mn
0.976 0.062 0.744 Mn
0.012 0.420 0.913 Mn
0.497 0.583 0.417 Mn
0.997 0.417 0.583 Mn
0.476 0.938 0.256 Mn
0.020 0.080 0.413 Mn
0.512 0.580 0.087 Mn
0.001 0.080 0.083 Mn
0.508 0.605 0.746 Mn
0.501 0.920 0.917 Mn
0.008 0.395 0.254 Mn
0.706 0.839 0.698 O
0.206 0.161 0.302 O


No. 7
Mn12O5F19 (PBE with a Hubbard U, optimized geometry); size of the total moment = 55.00 μB per cell; energy with MP2020 corrections = -7.41 eV per atom; calculated formation energy = -2.6554 eV/atom; theoretical density = 4.0 g cm⁻³; ΔE to the lowest computed polymorph = 0.007 eV/atom
1.0
-4.639 0.529 1.298
-0.198 -5.762 1.126
4.590 2.866 15.058
O Mn F
5 12 19
Direct
0.700 0.611 0.304 O
0.219 0.111 0.200 O
0.293 0.625 0.863 O
0.787 0.875 0.806 O
0.306 0.603 0.519 O
0.503 0.674 0.762 Mn
0.010 0.830 0.906 Mn
0.015 0.156 0.091 Mn
0.997 0.161 0.419 Mn
0.506 0.648 0.412 Mn
0.487 0.669 0.083 Mn
0.984 0.839 0.254 Mn
0.033 0.808 0.577 Mn
0.491 0.364 0.583 Mn
0.501 0.351 0.916 Mn
0.983 0.144 0.747 Mn
0.485 0.341 0.248 Mn
0.738 0.379 0.806 F
0.772 0.879 0.471 F
0.241 0.895 0.690 F
0.781 0.112 0.975 F
0.745 0.610 0.977 F
0.747 0.110 0.309 F
0.726 0.627 0.649 F
0.769 0.889 0.141 F
0.744 0.394 0.475 F
0.219 0.884 0.018 F
0.268 0.404 0.698 F
0.240 0.608 0.192 F
0.267 0.383 0.358 F
0.760 0.133 0.632 F
0.713 0.385 0.140 F
0.269 0.382 0.029 F
0.239 0.112 0.529 F
0.238 0.121 0.856 F
0.223 0.879 0.364 F


No. 8
Mn6OF11 (PBE with a Hubbard U, optimized geometry); size of the total moment = 58.00 μB per cell; energy with MP2020 corrections = -7.31 eV per atom; calculated formation energy = -2.8136 eV/atom; theoretical density = 4.2 g cm⁻³; ΔE to the lowest computed polymorph = 0.037 eV/atom
1.0
3.688 3.784 0.000
-3.688 3.784 0.000
0.000 0.801 15.557
F Mn O
22 12 2
Direct
0.396 0.017 0.919 F
0.111 0.111 0.084 F
0.483 0.483 0.418 F
0.525 0.976 0.755 F
0.018 0.018 0.415 F
0.480 0.017 0.583 F
0.024 0.475 0.245 F
0.976 0.525 0.755 F
0.475 0.024 0.245 F
0.983 0.604 0.081 F
0.983 0.520 0.417 F
0.025 0.025 0.758 F
0.017 0.480 0.583 F
0.604 0.983 0.081 F
0.975 0.975 0.242 F
0.889 0.889 0.916 F
0.017 0.396 0.919 F
0.477 0.477 0.750 F
0.517 0.517 0.582 F
0.982 0.982 0.585 F
0.520 0.983 0.417 F
0.523 0.523 0.250 F
0.693 0.693 0.000 Mn
0.249 0.751 0.500 Mn
0.742 0.742 0.667 Mn
0.732 0.236 0.837 Mn
0.236 0.732 0.837 Mn
0.750 0.750 0.330 Mn
0.250 0.250 0.670 Mn
0.764 0.268 0.163 Mn
0.258 0.258 0.333 Mn
0.307 0.307 0.000 Mn
0.751 0.249 0.500 Mn
0.268 0.764 0.163 Mn
0.493 0.493 0.081 O
0.507 0.507 0.919 O


No. 9
Mn6O7F5 (PBE with a Hubbard U, optimized geometry); size of the total moment = 46.00 μB per cell; energy with MP2020 corrections = -7.72 eV per atom; calculated formation energy = -2.2100 eV/atom; theoretical density = 4.4 g cm⁻³; ΔE to the lowest computed polymorph = 0.032 eV/atom
1.0
-2.346 -3.709 1.452
4.775 -2.737 1.426
-0.739 6.050 14.032
Mn F O
12 10 14
Direct
0.479 0.351 0.925 Mn
0.520 0.376 0.589 Mn
0.996 0.153 0.079 Mn
0.020 0.167 0.752 Mn
0.019 0.838 0.243 Mn
0.500 0.649 0.087 Mn
0.498 0.655 0.416 Mn
0.042 0.848 0.915 Mn
0.009 0.826 0.576 Mn
0.484 0.637 0.753 Mn
0.017 0.153 0.407 Mn
0.499 0.364 0.259 Mn
0.767 0.131 0.525 F
0.748 0.125 0.190 F
0.257 0.379 0.152 F
0.756 0.116 0.865 F
0.765 0.885 0.693 F
0.260 0.380 0.486 F
0.245 0.112 0.634 F
0.744 0.622 0.859 F
0.771 0.872 0.015 F
0.775 0.879 0.348 F
0.720 0.609 0.195 O
0.714 0.378 0.029 O
0.235 0.883 0.808 O
0.278 0.608 0.645 O
0.272 0.615 0.977 O
0.273 0.605 0.311 O
0.213 0.881 0.135 O
0.221 0.887 0.466 O
0.284 0.394 0.813 O
0.720 0.380 0.362 O
0.234 0.115 0.301 O
0.220 0.112 0.972 O
0.717 0.620 0.526 O
0.729 0.395 0.695 O


No. 10
Mn6OF11 (PBE with a Hubbard U, optimized geometry); size of the total moment = 58.00 μB per cell; energy with MP2020 corrections = -7.33 eV per atom; calculated formation energy = -2.8292 eV/atom; theoretical density = 3.9 g cm⁻³; ΔE to the lowest computed polymorph = 0.021 eV/atom
1.0
16.223 0.000 0.000
0.000 4.964 0.000
0.000 4.866 5.879
Mn F O
12 22 2
Direct
0.839 0.839 0.680 Mn
0.329 0.162 0.830 Mn
0.500 0.827 0.670 Mn
0.668 0.174 0.828 Mn
0.006 0.156 0.332 Mn
0.161 0.839 0.180 Mn
0.838 0.840 0.146 Mn
0.671 0.162 0.330 Mn
0.994 0.156 0.832 Mn
0.500 0.827 0.170 Mn
0.162 0.840 0.646 Mn
0.332 0.174 0.328 Mn
0.274 0.668 0.612 F
0.389 0.666 0.101 F
0.943 0.667 0.614 F
0.940 0.112 0.116 F
0.390 0.128 0.604 F
0.784 0.870 0.380 F
0.107 0.344 0.888 F
0.057 0.667 0.114 F
0.216 0.870 0.880 F
0.610 0.128 0.104 F
0.441 0.331 0.894 F
0.441 0.875 0.394 F
0.776 0.343 0.896 F
0.893 0.344 0.388 F
0.611 0.666 0.601 F
0.559 0.875 0.894 F
0.559 0.331 0.394 F
0.726 0.668 0.112 F
0.726 0.114 0.606 F
0.060 0.112 0.616 F
0.274 0.114 0.106 F
0.224 0.343 0.396 F
0.115 0.883 0.406 O
0.885 0.883 0.906 O


No. 11
Mn12O5F19 (PBE with a Hubbard U, optimized geometry); size of the total moment = 55.00 μB per cell; energy with MP2020 corrections = -7.41 eV per atom; calculated formation energy = -2.6617 eV/atom; theoretical density = 4.0 g cm⁻³; ΔE to the lowest computed polymorph = 0.000 eV/atom
1.0
4.908 0.000 0.000
-0.237 5.883 0.000
-0.060 -0.497 15.817
F Mn O
19 12 5
Direct
0.728 0.606 0.030 F
0.236 0.128 0.139 F
0.237 0.898 0.642 F
0.796 0.126 0.025 F
0.764 0.110 0.357 F
0.229 0.854 0.308 F
0.268 0.611 0.802 F
0.254 0.376 0.309 F
0.263 0.381 0.633 F
0.734 0.384 0.530 F
0.770 0.896 0.870 F
0.730 0.613 0.699 F
0.269 0.607 0.474 F
0.275 0.626 0.149 F
0.237 0.877 0.977 F
0.760 0.901 0.192 F
0.236 0.105 0.465 F
0.764 0.103 0.690 F
0.740 0.392 0.859 F
0.031 0.169 0.918 Mn
0.510 0.347 0.415 Mn
0.482 0.321 0.750 Mn
0.007 0.853 0.756 Mn
0.982 0.825 0.413 Mn
0.498 0.348 0.082 Mn
0.008 0.836 0.086 Mn
0.995 0.143 0.577 Mn
0.523 0.680 0.582 Mn
0.490 0.645 0.917 Mn
0.954 0.200 0.244 Mn
0.515 0.646 0.254 Mn
0.293 0.374 0.977 O
0.717 0.607 0.358 O
0.793 0.887 0.520 O
0.697 0.408 0.188 O
0.215 0.117 0.814 O